1.
Entry from Materials Project: a relaxed GaP2O9 crystal (PBE).

Unit cell a=9.0238 b=17.1518 c=9.0555 alpha=90.00 beta=119.79 gamma=90.00
Fractional positions:
Ga: 0.0011 0.0000 0.0056
Ga: 0.3330 0.1945 0.6673
Ga: 0.3333 0.9146 0.6668
Ga: 0.6667 0.4146 0.3332
Ga: 0.6670 0.6945 0.3327
Ga: 0.9989 0.5000 0.9944
P: 0.0446 0.3330 0.4594
P: 0.1116 0.0520 0.7255
P: 0.2745 0.0528 0.3868
P: 0.3877 0.5521 0.1126
P: 0.4158 0.3325 0.9580
P: 0.4585 0.8332 0.4163
P: 0.5415 0.3332 0.5837
P: 0.5842 0.8325 0.0420
P: 0.6123 0.0521 0.8874
P: 0.7255 0.5528 0.6132
P: 0.8884 0.5520 0.2745
P: 0.9554 0.8330 0.5406
O: 0.0249 0.4140 0.8570
O: 0.0269 0.3256 0.2780
O: 0.0303 0.5566 0.4654
O: 0.0330 0.0558 0.8418
O: 0.1234 0.2565 0.5524
O: 0.1242 0.4130 0.1769
O: 0.1323 0.8438 0.5586
O: 0.1518 0.4059 0.5584
O: 0.1598 0.0591 0.1936
O: 0.1614 0.9124 0.0310
O: 0.1936 0.5568 0.0366
O: 0.2120 0.1282 0.7520
O: 0.2179 0.9776 0.7613
O: 0.2368 0.9776 0.4546
O: 0.2502 0.1283 0.4636
O: 0.2530 0.3287 0.9765
O: 0.2775 0.8258 0.2534
O: 0.4063 0.4054 0.8488
O: 0.4232 0.8438 0.8683
O: 0.4278 0.2563 0.8767
O: 0.4366 0.5562 0.9707
O: 0.4432 0.8439 0.5760
O: 0.4439 0.4060 0.5969
O: 0.4492 0.2566 0.5722
O: 0.4569 0.4775 0.2183
O: 0.4623 0.6281 0.2127
O: 0.4666 0.0560 0.4369
O: 0.5334 0.5560 0.5631
O: 0.5377 0.1281 0.7873
O: 0.5431 0.9775 0.7817
O: 0.5508 0.7566 0.4278
O: 0.5561 0.9060 0.4031
O: 0.5568 0.3439 0.4240
O: 0.5634 0.0562 0.0293
O: 0.5722 0.7563 0.1233
O: 0.5768 0.3438 0.1317
O: 0.5937 0.9054 0.1512
O: 0.7225 0.3258 0.7466
O: 0.7470 0.8287 0.0235
O: 0.7498 0.6283 0.5364
O: 0.7632 0.4776 0.5454
O: 0.7821 0.4776 0.2387
O: 0.7880 0.6282 0.2480
O: 0.8064 0.0568 0.9634
O: 0.8386 0.4124 0.9690
O: 0.8402 0.5591 0.8064
O: 0.8482 0.9059 0.4416
O: 0.8677 0.3438 0.4414
O: 0.8758 0.9130 0.8231
O: 0.8766 0.7565 0.4476
O: 0.9670 0.5558 0.1582
O: 0.9697 0.0566 0.5346
O: 0.9731 0.8256 0.7220
O: 0.9751 0.9140 0.1430

Properties
ρ in g/cm3: 2.258
Volume in Å³ per cell: 1216.3
Space group: P2_1, No. 4
Total magnetic moment in μB/f.u.: 5.0


2.
Entry from Materials Project: a relaxed NaLi2AsF6 crystal (PBE).

Unit cell a=5.9751 b=5.9751 c=5.9751 alpha=60.00 beta=60.00 gamma=60.00
Fractional positions:
Na: 0.0000 0.0000 0.0000
Li: 0.2500 0.2500 0.2500
Li: 0.7500 0.7500 0.7500
As: 0.5000 0.5000 0.5000
F: 0.2583 0.2583 0.7417
F: 0.2583 0.7417 0.2583
F: 0.2583 0.7417 0.7417
F: 0.7417 0.2583 0.2583
F: 0.7417 0.2583 0.7417
F: 0.7417 0.7417 0.2583

Properties
ρ in g/cm3: 2.485
Volume in Å³ per cell: 150.8
Space group: Fm-3m, No. 225
Total magnetic moment in μB/f.u.: 0.0


3.
Entry from Materials Project: a relaxed PrBr5N2 crystal (PBE).

Unit cell a=14.6394 b=9.0874 c=9.3692 alpha=90.00 beta=90.00 gamma=90.00
Fractional positions:
Pr: 0.0343 0.2500 0.0212
Pr: 0.4657 0.7500 0.5212
Pr: 0.5343 0.2500 0.4788
Pr: 0.9657 0.7500 0.9788
Br: 0.0191 0.7500 0.6671
Br: 0.1008 0.5497 0.1141
Br: 0.1008 0.9503 0.1141
Br: 0.1917 0.2500 0.8610
Br: 0.2051 0.2500 0.4655
Br: 0.2949 0.7500 0.9655
Br: 0.3083 0.7500 0.3610
Br: 0.3992 0.0497 0.6141
Br: 0.3992 0.4503 0.6141
Br: 0.4809 0.2500 0.1671
Br: 0.5191 0.7500 0.8329
Br: 0.6008 0.5497 0.3859
Br: 0.6008 0.9503 0.3859
Br: 0.6917 0.2500 0.6390
Br: 0.7051 0.2500 0.0345
Br: 0.7949 0.7500 0.5345
Br: 0.8083 0.7500 0.1390
Br: 0.8992 0.0497 0.8859
Br: 0.8992 0.4503 0.8859
Br: 0.9809 0.2500 0.3329
N: 0.1257 0.0924 0.4265
N: 0.1257 0.4076 0.4265
N: 0.3743 0.5924 0.9265
N: 0.3743 0.9076 0.9265
N: 0.6257 0.0924 0.0735
N: 0.6257 0.4076 0.0735
N: 0.8743 0.5924 0.5735
N: 0.8743 0.9076 0.5735

Properties
ρ in g/cm3: 3.029
Volume in Å³ per cell: 1246.4
Space group: Pnma, No. 62
Total magnetic moment in μB/f.u.: 2.0


4.
Entry from Materials Project: a relaxed NiH6C2S2N4 crystal (PBE).

Unit cell a=5.8130 b=5.8130 c=5.6651 alpha=96.92 beta=96.92 gamma=83.94
Fractional positions:
Ni: 0.0000 0.0000 0.0000
H: 0.1844 0.5894 0.9736
H: 0.3510 0.7574 0.8656
H: 0.3521 0.7618 0.1609
H: 0.5894 0.1844 0.9736
H: 0.7574 0.3510 0.8656
H: 0.7618 0.3521 0.1609
C: 0.1968 0.1968 0.6104
C: 0.8050 0.8050 0.3930
S: 0.2765 0.2765 0.3737
S: 0.7231 0.7231 0.6302
N: 0.1433 0.1433 0.7924
N: 0.2496 0.7486 0.9999
N: 0.7486 0.2496 0.9999
N: 0.8632 0.8632 0.2175

Properties
ρ in g/cm3: 1.847
Volume in Å³ per cell: 187.8
Space group: Cm, No. 8
Total magnetic moment in μB/f.u.: 0.0


5.
Entry from Materials Project: a relaxed Na6Ca4Nb4Si5S7O48 crystal (PBE).

Unit cell a=9.1412 b=15.8670 c=23.3324 alpha=90.27 beta=90.00 gamma=90.04
Fractional positions:
Na: 0.0000 0.0000 0.0000
Na: 0.9999 0.3224 0.8269
Na: 0.1058 0.4911 0.7458
Na: 0.1270 0.1611 0.4115
Na: 0.3485 0.6608 0.9149
Na: 0.3722 0.9911 0.2456
Na: 0.4776 0.8184 0.3256
Na: 0.4803 0.5020 0.4951
Na: 0.4902 0.1748 0.6673
Na: 0.4932 0.4877 0.9982
Na: 0.5131 0.1682 0.1682
Na: 0.5175 0.8129 0.8314
Na: 0.6085 0.9904 0.7454
Na: 0.8747 0.4912 0.2455
Na: 0.9637 0.6665 0.6658
Na: 0.9717 0.3247 0.3228
Na: 0.9862 0.9867 0.4930
Na: 0.9951 0.6641 0.1744
Ca: 0.4825 0.8227 0.1822
Ca: 0.4866 0.1668 0.8039
Ca: 0.4884 0.8188 0.4800
Ca: 0.4888 0.8286 0.9839
Ca: 0.4973 0.1631 0.3070
Ca: 0.4983 0.8141 0.6791
Ca: 0.9792 0.6623 0.8074
Ca: 0.9815 0.3192 0.1816
Ca: 0.9865 0.3294 0.4828
Ca: 0.9878 0.3192 0.9807
Ca: 0.9935 0.6632 0.3029
Ca: 0.9936 0.3248 0.6821
Nb: 0.4849 0.4870 0.8543
Nb: 0.4850 0.4929 0.1501
Nb: 0.4852 0.4934 0.3431
Nb: 0.4861 0.4883 0.6394
Nb: 0.4882 0.1564 0.0186
Nb: 0.4935 0.1539 0.5053
Nb: 0.9786 0.9934 0.8481
Nb: 0.9799 0.9919 0.6456
Nb: 0.9809 0.6510 0.0077
Nb: 0.9873 0.6528 0.5161
Nb: 0.9912 0.9867 0.3537
Nb: 0.9912 0.9882 0.1399
Si: 0.1304 0.5055 0.9050
Si: 0.1324 0.8490 0.2454
Si: 0.1374 0.4741 0.5823
Si: 0.1931 0.4873 0.2463
Si: 0.3383 0.9735 0.0819
Si: 0.3444 0.0054 0.4048
Si: 0.3450 0.3487 0.7453
Si: 0.6321 0.3448 0.2454
Si: 0.6319 0.6407 0.2464
Si: 0.6379 0.6732 0.5790
Si: 0.6866 0.6599 0.9081
Si: 0.7918 0.1591 0.4080
Si: 0.8423 0.8444 0.7457
Si: 0.8431 0.1731 0.0789
Si: 0.8436 0.1397 0.7462
S: 0.1240 0.1300 0.2471
S: 0.1281 0.8074 0.9129
S: 0.1473 0.1678 0.5781
S: 0.1797 0.8260 0.5787
S: 0.1958 0.1520 0.9106
S: 0.2674 0.9887 0.7461
S: 0.2810 0.6522 0.4121
S: 0.2973 0.3272 0.0775
S: 0.3299 0.6680 0.0759
S: 0.3488 0.3072 0.4138
S: 0.3524 0.6309 0.7472
S: 0.6299 0.3048 0.9128
S: 0.6387 0.0141 0.9101
S: 0.6396 0.9811 0.5802
S: 0.6779 0.3200 0.5790
S: 0.7092 0.9905 0.2461
S: 0.7674 0.4906 0.7463
S: 0.7986 0.8204 0.0782
S: 0.8333 0.4800 0.0783
S: 0.8346 0.5145 0.4115
S: 0.8477 0.8043 0.4127
O: 0.0510 0.7617 0.2418
O: 0.0574 0.8936 0.9092
O: 0.0597 0.2139 0.2465
O: 0.0608 0.4509 0.6416
O: 0.0613 0.7631 0.9644
O: 0.0683 0.9075 0.1910
O: 0.0703 0.0875 0.3015
O: 0.0723 0.4140 0.9176
O: 0.0750 0.5732 0.5626
O: 0.0746 0.9090 0.3030
O: 0.0768 0.0801 0.1958
O: 0.0783 0.9019 0.5881
O: 0.0800 0.7510 0.5685
O: 0.0809 0.1985 0.5250
O: 0.0849 0.0788 0.5878
O: 0.0868 0.5525 0.8479
O: 0.0931 0.5766 0.9625
O: 0.0962 0.2232 0.9161
O: 0.0989 0.5711 0.2432
O: 0.1016 0.4020 0.2477
O: 0.1042 0.0698 0.9068
O: 0.1043 0.7587 0.8608
O: 0.1189 0.2204 0.6282
O: 0.1290 0.4177 0.5265
O: 0.1556 0.0080 0.4057
O: 0.1580 0.9941 0.0918
O: 0.1655 0.6593 0.0680
O: 0.1703 0.3545 0.7489
O: 0.1725 0.9941 0.6934
O: 0.1725 0.9847 0.7987
O: 0.1806 0.6460 0.4640
O: 0.1914 0.3133 0.4237
O: 0.1915 0.6322 0.7458
O: 0.1939 0.6579 0.3605
O: 0.2099 0.3414 0.0263
O: 0.2153 0.3100 0.1291
O: 0.2641 0.8106 0.6307
O: 0.2661 0.8441 0.5281
O: 0.2835 0.1580 0.8590
O: 0.2846 0.1310 0.2458
O: 0.2866 0.8162 0.9211
O: 0.2918 0.1430 0.9625
O: 0.3069 0.8555 0.2488
O: 0.3097 0.4864 0.3035
O: 0.3099 0.4917 0.1897
O: 0.3107 0.1579 0.5711
O: 0.3185 0.4943 0.5926
O: 0.3205 0.5079 0.9051
O: 0.3479 0.9197 0.0249
O: 0.3567 0.7205 0.1262
O: 0.3575 0.9123 0.7435
O: 0.3594 0.0644 0.7473
O: 0.3717 0.5713 0.4116
O: 0.3727 0.2575 0.3624
O: 0.3775 0.7249 0.4180
O: 0.3821 0.0772 0.4628
O: 0.3894 0.0529 0.3483
O: 0.3926 0.5801 0.0834
O: 0.3935 0.7017 0.0228
O: 0.3963 0.2494 0.0666
O: 0.4004 0.5818 0.6960
O: 0.4007 0.4007 0.0839
O: 0.4020 0.0730 0.0616
O: 0.4038 0.4077 0.8031
O: 0.4046 0.9152 0.4190
O: 0.4065 0.5888 0.8015
O: 0.4102 0.4066 0.6911
O: 0.4150 0.7161 0.7470
O: 0.4157 0.2592 0.4658
O: 0.4163 0.9502 0.1406
O: 0.4213 0.2589 0.7410
O: 0.4220 0.3911 0.4131
O: 0.5449 0.2591 0.2400
O: 0.5527 0.7290 0.2484
O: 0.5552 0.3920 0.9093
O: 0.5556 0.7019 0.5229
O: 0.5602 0.2631 0.9634
O: 0.5638 0.7304 0.9195
O: 0.5649 0.5826 0.3032
O: 0.5739 0.4051 0.1892
O: 0.5740 0.5809 0.1893
O: 0.5747 0.2461 0.5701
O: 0.5760 0.0682 0.5709
O: 0.5783 0.4060 0.3034
O: 0.5790 0.9483 0.6339
O: 0.5812 0.3976 0.5872
O: 0.5841 0.9285 0.9175
O: 0.5848 0.5746 0.5950
O: 0.5865 0.0510 0.8567
O: 0.5966 0.5671 0.9044
O: 0.6021 0.2578 0.8606
O: 0.6065 0.0694 0.9607
O: 0.6132 0.0652 0.2454
O: 0.6201 0.9278 0.5304
O: 0.6222 0.9129 0.2464
O: 0.6415 0.7301 0.6355
O: 0.6573 0.1603 0.0606
O: 0.6673 0.8536 0.7491
O: 0.6679 0.1476 0.4666
O: 0.6701 0.1260 0.7432
O: 0.6696 0.5103 0.4123
O: 0.6713 0.4947 0.0836
O: 0.6723 0.4908 0.7990
O: 0.6739 0.4948 0.6942
O: 0.6896 0.1764 0.3560
O: 0.6920 0.8202 0.4208
O: 0.7119 0.8046 0.1290
O: 0.7141 0.8374 0.0265
O: 0.7625 0.3358 0.5274
O: 0.7645 0.3044 0.6302
O: 0.7855 0.3197 0.9204
O: 0.7848 0.6783 0.8548
O: 0.8031 0.9950 0.1940
O: 0.8044 0.6287 0.2446
O: 0.8046 0.9907 0.2989
O: 0.8063 0.3516 0.2480
O: 0.8068 0.9939 0.5873
O: 0.8082 0.6483 0.9661
O: 0.8092 0.0082 0.9073
O: 0.8211 0.6609 0.5613
O: 0.8394 0.2307 0.1344
O: 0.8546 0.4129 0.7468
O: 0.8596 0.4278 0.0279
O: 0.8641 0.5652 0.7454
O: 0.8759 0.7577 0.3608
O: 0.8780 0.5710 0.4628
O: 0.8803 0.0664 0.4053
O: 0.8890 0.5526 0.3592
O: 0.8931 0.0740 0.0942
O: 0.8961 0.4305 0.4199
O: 0.8964 0.8977 0.0867
O: 0.8977 0.4489 0.1312
O: 0.9003 0.9074 0.8027
O: 0.9012 0.7467 0.0680
O: 0.9025 0.9064 0.6898
O: 0.9040 0.5680 0.0677
O: 0.9055 0.0784 0.6904
O: 0.9109 0.0806 0.8033
O: 0.9128 0.2294 0.4209
O: 0.9167 0.7638 0.4642
O: 0.9203 0.2001 0.0210
O: 0.9219 0.2278 0.7485
O: 0.9222 0.8922 0.4093
O: 0.9296 0.7594 0.7395

Properties
ρ in g/cm3: 2.654
Volume in Å³ per cell: 3384.2
Space group: P1, No. 1
Total magnetic moment in μB/f.u.: 0.0


no.,energy (eV/cell)
1,-432.94
2,-43.64
3,-111.94
4,-87.87
5,-1525.77